Entry w
Fe2O3F after structural relaxation. Source: the Materials Project database, functional PBE with a Hubbard U.

extended XYZ file:
```
30
Lattice="0.9958 0.0504 4.5934 -4.2638 -1.8909 0.5814 5.9528 -13.7734 -1.1393" Properties=species:S:1:pos:R:3 pbc="T T T"
Fe -1.2231 -8.7539 0.0608
Fe 1.7847 -9.2429 1.7863
Fe 6.2753 -12.3718 3.5094
Fe 1.5150 -1.3576 4.4205
Fe 2.7794 -4.0837 4.2494
Fe -0.2992 -3.6353 2.4647
Fe 5.1595 -9.5908 3.7939
Fe -1.5133 -0.8757 2.6794
Fe 0.5926 -6.4845 2.0145
Fe 3.2623 -11.8759 1.7830
O 4.3810 -12.9534 0.5921
O 0.6533 -8.1846 2.9829
O -0.3823 -1.9322 1.5038
O 3.1583 -10.2079 0.7884
O -1.6361 -2.6383 3.4891
O 1.9241 -7.4689 0.9706
O 3.1272 -13.6595 2.5775
O 0.0110 -0.3130 3.8422
O 0.2734 -9.8472 0.6170
O 0.7776 -4.6995 1.2440
O 1.8978 -10.9178 2.7843
O 4.7918 -11.2744 2.9629
O 1.2578 -3.0975 3.6392
O -0.4829 -5.4094 3.2400
O -0.9534 -7.0086 0.8518
F 2.3403 -5.8755 3.3349
F 1.5404 -12.5503 0.4557
F -2.0502 -4.2427 1.1429
F 3.5056 -8.5716 3.1119
F -3.2352 -1.5112 1.3660
```


Entry x
Fe2O3F after structural relaxation. Source: the Materials Project database, functional PBE with a Hubbard U.

extended XYZ file:
```
24
Lattice="-1.3773 3.3597 3.0345 -2.4438 -13.5074 12.8591 2.8458 0.3480 0.9064" Properties=species:S:1:pos:R:3 pbc="T T T"
O -2.4031 -10.2557 11.4829
O 0.1905 2.1907 3.5481
O -1.0954 -12.2452 13.1282
O 0.0399 -5.2138 6.8642
O -0.5400 -8.7011 10.0238
O -1.4370 0.1163 4.4670
O -3.1324 -10.3589 13.8123
O -1.8280 -6.7637 8.3363
O -2.5850 -6.8100 10.7311
O 0.6038 -1.6764 3.7352
O -2.0085 -3.3340 7.5862
O -1.2609 -3.2481 5.2059
F -1.0286 -4.5225 9.9533
F -0.4719 -0.9659 6.8401
F -0.6230 0.0416 1.9402
F -1.6046 -7.9981 13.0963
Fe -0.1954 -3.2585 6.8520
Fe -1.3315 -10.2336 13.0972
Fe 0.3523 0.2296 3.7933
Fe -0.6910 -3.0895 3.3559
Fe -3.1819 -6.7172 12.5693
Fe -3.7577 -10.2717 15.7421
Fe -1.2431 -6.6234 6.4459
Fe -0.7684 -6.7293 9.9838
```


It is entry w that is most stable; the runner-up trails by 683 meV per atom.


Entry w
Fe7O3F13 after structural relaxation. Source: the Materials Project database, functional PBE with a Hubbard U.

extended XYZ file:
```
23
Lattice="-5.2176 1.8443 -2.7228 -0.1795 -4.9812 3.6858 -0.1847 8.4905 6.3410" Properties=species:S:1:pos:R:3 pbc="T T T"
Fe -0.3628 -0.7354 6.7657
Fe -3.9204 2.4244 0.5352
Fe -2.7243 6.8747 6.8299
Fe -4.0098 -0.1142 2.3605
Fe -4.2062 4.0844 5.3947
Fe -1.4553 5.5299 5.0621
Fe -4.4758 8.3386 4.4311
F -0.7697 2.9313 8.4326
F -3.7266 4.2817 7.0021
F -0.5165 1.6742 3.3698
F -2.4243 -1.3968 2.0149
F -4.5126 -0.1404 0.8348
F -4.8255 3.5327 4.0033
F -2.3230 1.1166 0.2405
F -2.3883 3.2141 5.3258
F -1.8202 5.1782 3.5010
F -4.4542 2.0933 -1.0975
F -0.6409 -0.9847 5.3019
F -4.6914 6.5045 1.8619
F -3.5052 2.2959 1.9921
O -3.8063 -0.1566 3.7956
O -3.5491 6.5308 5.2951
O -0.8606 5.9920 6.5739
```


Entry x
Fe7O3F13 after structural relaxation. Source: the Materials Project database, functional PBE with a Hubbard U.

extended XYZ file:
```
23
Lattice="1.8531 -2.0080 5.5292 -3.7844 -3.6278 3.5233 4.6060 -6.2523 -7.2705" Properties=species:S:1:pos:R:3 pbc="T T T"
F 3.1953 -7.1963 1.3502
F -0.9832 -5.5865 6.7408
F 0.3219 -7.8556 0.9266
F 0.9198 -8.8960 3.2930
F 0.3333 -6.0297 3.1184
F 4.7101 -7.0165 -2.1771
F -0.4178 -4.6811 0.1166
F -2.0662 -4.8087 4.3754
F 2.3676 -5.8855 -1.0724
F 3.7443 -6.1260 -5.3867
F 0.8055 -4.2166 5.3405
F -0.0952 -2.7188 2.2003
F 1.4555 -3.1304 -1.3706
Fe 1.8776 -9.3091 -2.1921
Fe 0.6827 -3.1024 0.4910
Fe 2.6735 -8.0991 -5.3556
Fe 3.1489 -4.0553 -0.9644
Fe 2.0867 -8.9232 1.3922
Fe 3.7877 -7.1018 -0.4776
Fe -0.2696 -5.9590 5.0050
O 2.9627 -8.8825 -0.6870
O 1.8311 -8.1186 -3.5156
O 2.4220 -3.7982 0.9187
```


It is entry x that is most stable; the runner-up trails by 948 meV per atom.


Entry w
Fe2O2F5 after structural relaxation. Source: the Materials Project database, functional PBE with a Hubbard U.

extended XYZ file:
```
18
Lattice="-2.8040 3.8267 5.6869 2.8040 -3.8267 5.6869 2.8040 3.8267 -5.6869" Properties=species:S:1:pos:R:3 pbc="T T T"
Fe 1.4020 -1.9134 2.8434
Fe 1.4020 1.9134 2.8434
Fe 0.0000 0.0000 5.6869
Fe 0.0000 0.0000 0.0000
O -0.4789 3.8267 5.2878
O 3.2829 0.0000 0.3991
O 0.4789 3.8267 -0.3991
O 2.3252 0.0000 6.0859
F 0.1377 1.3891 1.4378
F 2.9418 2.4376 -1.4378
F 2.6663 -2.4376 4.2491
F 0.7770 3.8267 2.8434
F 2.0270 0.0000 2.8434
F -0.1377 1.3891 7.1247
F 2.6663 2.4376 4.2491
F 0.1377 1.3891 4.2491
F 2.6663 2.4376 1.4378
F 0.1377 6.2644 1.4378
```


Entry x
Fe2O2F5 after structural relaxation. Source: the Materials Project database, functional PBE with a Hubbard U.

extended XYZ file:
```
18
Lattice="-3.2452 3.7311 5.5119 3.2452 -3.7311 5.5119 3.2452 3.7311 -5.5119" Properties=species:S:1:pos:R:3 pbc="T T T"
F 2.2431 0.0000 2.7560
F 1.0021 3.7311 2.7560
F 3.5722 2.3360 -1.3681
F 2.9182 -2.3360 4.1438
F -0.3270 1.3951 6.8800
F 0.3270 1.3951 4.1438
F 0.3270 6.0671 1.3681
F 2.9182 2.3360 4.1438
F 0.3270 1.3951 1.3681
F 2.9182 2.3360 1.3681
O -1.3469 3.7311 4.9469
O 1.8983 0.0000 6.0770
O 4.5921 0.0000 0.5650
O 1.3469 3.7311 -0.5650
Fe 0.0000 0.0000 5.5119
Fe 0.0000 0.0000 0.0000
Fe 1.6226 1.8656 2.7560
Fe 1.6226 -1.8656 2.7560
```


It is entry w that is most stable; the runner-up trails by 257 meV per atom.


Entry w
Fe2OF3 after structural relaxation. Source: the Materials Project database, functional PBE with a Hubbard U.

extended XYZ file:
```
30
Lattice="-3.6539 0.1732 -3.2301 -0.2472 -4.8676 0.2445 -10.1614 1.0963 11.5532" Properties=species:S:1:pos:R:3 pbc="T T T"
F -10.0596 -0.0768 5.5802
F -12.1043 0.1281 7.8802
F -5.9906 -0.5158 0.9539
F -3.1600 -1.1453 1.4367
F -3.9719 -0.7493 -1.3662
F -2.7681 -3.3310 -2.1186
F -9.2683 -0.4863 8.3817
F -6.8163 -2.8579 2.5369
F -8.8258 -2.6411 4.8217
F -1.9592 -3.7275 0.6866
F -6.0595 -3.3152 5.2823
F -8.0479 -3.0535 7.6320
F -10.0916 -2.8501 9.9330
F -3.9789 -3.4924 3.0057
F -8.0613 -0.3531 3.2406
Fe -0.1195 -0.1438 -0.0915
Fe -6.1800 0.5604 6.8722
Fe -11.0954 -1.3610 8.9041
Fe -2.9677 -2.2379 -0.3370
Fe -5.0017 -2.0190 1.9748
Fe -9.0623 -1.5809 6.5916
Fe -11.9156 -3.6764 6.3490
Fe -4.1436 0.3407 4.5568
Fe -6.9356 -1.6840 4.3570
Fe -5.8141 -4.3347 -0.5882
O -7.3812 -0.8521 6.0007
O -5.2945 -1.0772 3.6282
O -1.2939 -1.5570 -0.9903
O -10.7362 -2.2606 7.2467
O -4.6399 -2.9183 0.3154
```


Entry x
Fe2OF3 after structural relaxation. Source: the Materials Project database, functional PBE with a Hubbard U.

extended XYZ file:
```
30
Lattice="-3.1148 1.3658 3.4446 -1.1728 -4.6621 0.5676 11.2224 -1.5144 10.7486" Properties=species:S:1:pos:R:3 pbc="T T T"
F 4.0173 -0.8150 9.3039
F 1.7672 -0.5114 7.1488
F 2.8953 -4.0127 5.4776
F 6.2668 -1.1003 11.4480
F 7.4014 -4.6217 9.7673
F -0.4694 -0.1913 4.9961
F 2.6212 -3.0559 8.1722
F 5.1454 -4.3164 7.6327
F 4.8121 -3.3782 10.3263
F 0.6651 -3.7126 3.3155
F -0.1713 -1.1237 2.2388
F 8.8558 -2.3419 10.8847
F -2.6864 0.1185 2.8215
F 0.3715 -2.7789 6.0732
F -1.5586 -3.3820 1.1507
O 6.5173 -2.1202 8.8416
O -1.7665 -2.3975 3.8308
O 4.2786 -1.7817 6.6213
O 1.9594 -1.5051 4.4762
O 7.1557 -3.6015 12.3763
Fe 5.5614 -0.7955 5.4209
Fe 0.0959 -1.9512 4.1530
Fe 3.2683 -0.5281 3.3126
Fe 5.9047 -4.5876 13.5978
Fe -2.2499 -1.7297 2.1054
Fe 7.7615 -1.1344 7.6162
Fe 2.4475 -2.1720 6.2029
Fe -3.0712 -3.3763 5.0008
Fe 6.8370 -2.8609 10.6095
Fe 4.6992 -2.4759 8.3596
```


Entry y
Fe2OF3 after structural relaxation. Source: the Materials Project database, functional PBE with a Hubbard U.

extended XYZ file:
```
12
Lattice="4.8125 0.0764 -0.0063 0.0764 4.8125 0.0063 -0.0087 0.0087 6.2655" Properties=species:S:1:pos:R:3 pbc="T T T"
F 1.4015 1.4295 3.1304
F 3.8590 1.0300 4.6973
F 3.8625 1.0265 1.5664
F 1.3955 1.4352 6.2627
F 3.4594 3.4875 3.1305
F 3.4538 3.4935 6.2627
Fe 2.3808 2.5080 4.6984
Fe 0.2000 4.6890 6.2608
Fe 0.2048 4.6841 3.1294
Fe 2.3844 2.5046 1.5661
O 0.9637 3.9253 4.7165
O 0.9674 3.9216 1.5828
```

The largest piezoelectric modulus comes out at 0.76 C/m².


It is entry y that is most stable; the runner-up trails by 33 meV per atom.